CaTi2O4 | PBE | optimized geometry

Cell: 6.255 6.255 15.554 Å, 90.00 90.00 120.00°
Element x y z (fractional)
Ca 0.667 0.333 0.289
Ca 0.333 0.667 0.002
Ca 0.333 0.667 0.374
Ca 0.333 0.667 0.628
Ca 0.667 0.333 0.043
Ca 0.000 0.000 0.708
O 0.710 0.855 0.424
O 0.162 0.325 0.905
O 0.667 0.333 0.433
O 0.000 0.000 0.566
O 0.860 0.140 0.249
O 0.810 0.619 0.751
O 0.810 0.190 0.751
O 0.281 0.140 0.249
O 0.145 0.290 0.424
O 0.486 0.514 0.104
O 0.521 0.479 0.577
O 0.675 0.838 0.905
O 0.860 0.719 0.249
O 0.000 0.000 0.080
O 0.521 0.042 0.577
O 0.145 0.855 0.424
O 0.333 0.667 0.234
O 0.162 0.838 0.905
O 0.028 0.514 0.104
O 0.381 0.190 0.751
O 0.667 0.333 0.901
O 0.486 0.972 0.104
O 0.333 0.667 0.769
O 0.958 0.479 0.577
Ti 0.832 0.168 0.500
Ti 0.336 0.168 0.500
Ti 0.506 0.013 0.829
Ti 0.667 0.333 0.660
Ti 0.832 0.664 0.500
Ti 0.161 0.321 0.169
Ti 0.161 0.839 0.169
Ti 0.679 0.839 0.169
Ti 0.000 0.000 0.951
Ti 0.000 0.000 0.341
Ti 0.987 0.494 0.829
Ti 0.506 0.494 0.829

Values from the calculation:
**E (MP2020)**: -362.27 eV per cell
**Calculated total energy**: -345.78 eV per cell
**Calculated formation energy**: -3.26 eV per atom